No. 1
# Y4MgCo r2SCAN optimized geometry
data_Y4MgCo
_cell_length_a 13.619
_cell_length_b 13.619
_cell_length_c 13.619
_cell_angle_alpha 90.00
_cell_angle_beta 90.00
_cell_angle_gamma 90.00
_space_group_name_H-M_alt 'F -4 3 m'
_space_group_IT_number 216
_space_group_name_Hall 'F -4 2 3'
loop_
_atom_site_label
_atom_site_type_symbol
_atom_site_fract_x
_atom_site_fract_y
_atom_site_fract_z
Y1 Y 0.000 0.000 0.187
Y2 Y 0.062 0.250 0.250
Y3 Y 0.156 0.156 0.656
Mg1 Mg 0.078 0.078 0.422
Co1 Co 0.140 0.140 0.860
# - spin magnetization (μB per cell) = 0.1
# - energy of formation from the pure elements (eV/atom) = -0.065

---

No. 2
# CsHoZnSe3 r2SCAN optimized geometry
data_CsHoZnSe3
_cell_length_a 4.134
_cell_length_b 16.045
_cell_length_c 10.926
_cell_angle_alpha 90.00
_cell_angle_beta 90.00
_cell_angle_gamma 90.00
_space_group_name_H-M_alt 'C m c m'
_space_group_IT_number 63
_space_group_name_Hall '-C 2c 2'
loop_
_atom_site_label
_atom_site_type_symbol
_atom_site_fract_x
_atom_site_fract_y
_atom_site_fract_z
Cs1 Cs 0.000 0.242 0.250
Ho1 Ho 0.000 0.500 0.000
Zn1 Zn 0.000 0.039 0.750
Se1 Se 0.000 0.116 0.558
Se2 Se 0.000 0.446 0.750
# - spin magnetization (μB per cell) = 0.0
# - energy of formation from the pure elements (eV/atom) = -1.653

---

No. 3
# Rb2Mn2S3O12 r2SCAN optimized geometry
data_Rb2Mn2S3O12
_cell_length_a 10.190
_cell_length_b 10.190
_cell_length_c 10.190
_cell_angle_alpha 90.00
_cell_angle_beta 90.00
_cell_angle_gamma 90.00
_space_group_name_H-M_alt 'P 21 3'
_space_group_IT_number 198
_space_group_name_Hall 'P 2ac 2ab 3'
loop_
_atom_site_label
_atom_site_type_symbol
_atom_site_fract_x
_atom_site_fract_y
_atom_site_fract_z
Rb1 Rb 0.066 0.434 0.566
Rb2 Rb 0.201 0.799 0.299
Mn1 Mn 0.084 0.584 0.916
Mn2 Mn 0.155 0.155 0.155
S1 S 0.032 0.767 0.626
O1 O 0.003 0.906 0.651
O2 O 0.009 0.693 0.749
O3 O 0.024 0.555 0.287
O4 O 0.083 0.330 0.249
# - spin magnetization (μB per cell) = 40.0
# - energy of formation from the pure elements (eV/atom) = -1.904

---

No. 4
# CsLiCl2 r2SCAN optimized geometry
data_CsLiCl2
_cell_length_a 7.251
_cell_length_b 13.649
_cell_length_c 9.763
_cell_angle_alpha 90.00
_cell_angle_beta 97.30
_cell_angle_gamma 90.00
_space_group_name_H-M_alt 'C 1 2/c 1'
_space_group_IT_number 15
loop_
_space_group_symop_operation_xyz
'x,y,z'
'-x,-y,-z'
'-x,y,-z+1/2'
'x,-y,z+1/2'
'x+1/2,y+1/2,z'
'-x+1/2,-y+1/2,-z'
'-x+1/2,y+1/2,-z+1/2'
'x+1/2,-y+1/2,z+1/2'
loop_
_atom_site_label
_atom_site_type_symbol
_atom_site_fract_x
_atom_site_fract_y
_atom_site_fract_z
Cs1 Cs 0.224 0.096 0.436
Li1 Li 0.241 0.198 0.865
Cl1 Cl 0.000 0.105 0.750
Cl2 Cl 0.000 0.314 0.250
Cl3 Cl 0.202 0.366 0.910
# - spin magnetization (μB per cell) = 0.0
# - energy of formation from the pure elements (eV/atom) = -2.116